DFT (GGA-PBE) results for crystalline NdAsS at its relaxed geometry.

Output
Uncorrected energy (eV per atom): -6.085
MP2020-corrected energy (eV per atom): -6.253

Lattice parameters (Å, degrees): 17.609 3.932 3.977 90.00 90.00 90.00
Space group Pnma (No. 62)
Unique sites:
Nd 0.146 0.250 0.218
As 0.002 0.250 0.709
S 0.186 0.750 0.718